First-principles (PBE) data for crystalline Tb2Fe14C at its relaxed geometry, as listed in the Materials Project database.

## Properties
energy relative to the elements: -6 kJ/mol of atoms

Cell: 8.729 8.729 11.772 Å, 90.00 90.00 90.00°
Element x y z (fractional)
Fe 0.183 0.817 0.255
Fe 0.536 0.141 0.676
Fe 0.683 0.683 0.755
Fe 0.000 0.000 0.606
Fe 0.859 0.464 0.324
Fe 0.435 0.774 0.879
Fe 0.036 0.359 0.176
Fe 0.226 0.565 0.121
Fe 0.359 0.036 0.824
Fe 0.903 0.903 0.796
Fe 0.000 0.500 0.500
Fe 0.317 0.317 0.245
Fe 0.565 0.226 0.121
Fe 0.403 0.597 0.296
Fe 0.141 0.536 0.676
Fe 0.141 0.536 0.324
Fe 0.641 0.964 0.176
Fe 0.036 0.359 0.824
Fe 0.500 0.000 0.000
Fe 0.565 0.226 0.879
Fe 0.597 0.403 0.296
Fe 0.000 0.000 0.394
Fe 0.097 0.097 0.204
Fe 0.464 0.859 0.324
Fe 0.774 0.435 0.879
Fe 0.817 0.183 0.745
Fe 0.903 0.903 0.204
Fe 0.964 0.641 0.824
Fe 0.935 0.726 0.621
Fe 0.641 0.964 0.824
Fe 0.500 0.500 0.106
Fe 0.226 0.565 0.879
Fe 0.935 0.726 0.379
Fe 0.065 0.274 0.621
Fe 0.000 0.500 0.000
Fe 0.359 0.036 0.176
Fe 0.274 0.065 0.621
Fe 0.774 0.435 0.121
Fe 0.274 0.065 0.379
Fe 0.464 0.859 0.676
Fe 0.500 0.000 0.500
Fe 0.964 0.641 0.176
Fe 0.500 0.500 0.894
Fe 0.726 0.935 0.621
Fe 0.097 0.097 0.796
Fe 0.859 0.464 0.676
Fe 0.435 0.774 0.121
Fe 0.597 0.403 0.704
Fe 0.683 0.683 0.245
Fe 0.726 0.935 0.379
Fe 0.317 0.317 0.755
Fe 0.817 0.183 0.255
Fe 0.065 0.274 0.379
Fe 0.403 0.597 0.704
Fe 0.183 0.817 0.745
Fe 0.536 0.141 0.324
Tb 0.741 0.741 0.000
Tb 0.856 0.144 0.000
Tb 0.759 0.241 0.500
Tb 0.356 0.356 0.500
Tb 0.644 0.644 0.500
Tb 0.259 0.259 0.000
Tb 0.241 0.759 0.500
Tb 0.144 0.856 0.000
C 0.129 0.129 0.500
C 0.629 0.371 0.000
C 0.371 0.629 0.000
C 0.871 0.871 0.500